Record 1
## HPd (PBE-GGA)

Data for crystalline HPd at its relaxed geometry.

Cell lengths 4.140, 4.140, 4.140 Å; angles 90.00, 90.00, 90.00 degrees
Space group Fm-3m (No. 225)
Inequivalent atoms, fractional coordinates:
H (0.000, 0.000, 0.000) [4 per cell]
Pd (0.000, 0.000, 0.500) [4 per cell]

Output
**Total DFT energy (no corrections)**: -8.698 eV per formula unit

=====

Record 2
## HPd3 (PBE-GGA)

Data for crystalline HPd3 at its relaxed geometry.

Cell lengths 5.5507, 5.5507, 4.0810 Å; angles 90.00, 90.00, 120.00 degrees
Space group P6_3/mmc (No. 194)
Inequivalent atoms, fractional coordinates:
H (0.3333, 0.6667, 0.2500) [2 per cell]
Pd (0.1744, 0.3489, 0.7500) [6 per cell]

Output
**Total DFT energy (no corrections)**: -16.984 eV per formula unit
**Total magnetic moment**: 0.01 μB per cell

=====

Record 3
## Rb3H5Pd (PBE-GGA)

Data for crystalline Rb3H5Pd at its relaxed geometry.

Cell lengths 7.829, 7.829, 6.110 Å; angles 90.00, 90.00, 90.00 degrees
Space group P4/mbm (No. 127)
Inequivalent atoms, fractional coordinates:
Rb (0.000, 0.000, 0.000) [2 per cell]
Rb (0.184, 0.316, 0.500) [4 per cell]
H (0.000, 0.000, 0.500) [2 per cell]
H (0.109, 0.609, 0.188) [8 per cell]
Pd (0.000, 0.500, 0.000) [2 per cell]

Output
**Total DFT energy (no corrections)**: -27.212 eV per formula unit
**Total magnetic moment**: 0.01 μB per cell